Entry 1:
RbHSO4 GGA-PBE optimized geometry; magnetization = 0.00 μB per formula unit; energy relative to the elements = -1.9564 eV/atom; corrected total energy (MP2020 scheme) = -5.999 eV/atom; space-group type = No. 7; distance to the lowest polymorph of the same formula = 0.0 kJ/mol of atoms
1.0
14.687 0.000 0.000
0.000 4.655 0.000
-7.764 0.000 13.042
Rb H S O
8 8 8 32
direct
0.000 0.021 0.000 Rb
0.000 0.979 0.500 Rb
0.254 0.410 0.421 Rb
0.254 0.590 0.921 Rb
0.500 0.135 0.250 Rb
0.500 0.865 0.750 Rb
0.750 0.427 0.671 Rb
0.750 0.573 0.171 Rb
0.247 0.031 0.723 H
0.247 0.969 0.223 H
0.508 0.414 0.943 H
0.508 0.586 0.443 H
0.752 0.036 0.975 H
0.752 0.964 0.475 H
0.999 0.431 0.699 H
0.999 0.569 0.199 H
0.003 0.007 0.257 S
0.003 0.993 0.757 S
0.253 0.457 0.666 S
0.253 0.543 0.166 S
0.502 0.026 0.013 S
0.502 0.974 0.513 S
0.748 0.468 0.914 S
0.748 0.532 0.414 S
0.039 0.245 0.217 O
0.039 0.755 0.717 O
0.090 0.115 0.852 O
0.090 0.885 0.352 O
0.158 0.498 0.066 O
0.158 0.502 0.566 O
0.224 0.234 0.727 O
0.224 0.766 0.227 O
0.286 0.285 0.232 O
0.286 0.715 0.732 O
0.341 0.335 0.659 O
0.341 0.665 0.159 O
0.406 0.113 0.013 O
0.406 0.887 0.513 O
0.497 0.270 0.478 O
0.497 0.730 0.978 O
0.507 0.206 0.926 O
0.507 0.794 0.426 O
0.599 0.091 0.111 O
0.599 0.909 0.611 O
0.661 0.343 0.819 O
0.661 0.657 0.319 O
0.712 0.285 0.450 O
0.712 0.715 0.950 O
0.782 0.235 0.003 O
0.782 0.765 0.503 O
0.843 0.469 0.409 O
0.843 0.531 0.909 O
0.910 0.084 0.263 O
0.910 0.916 0.763 O
0.964 0.236 0.671 O
0.964 0.764 0.171 O

---

Entry 2:
RbSmH8S2O12 GGA-PBE optimized geometry; magnetization = 0.00 μB per formula unit; energy relative to the elements = -1.9017 eV/atom; corrected total energy (MP2020 scheme) = -6.089 eV/atom; space-group type = No. 14
1.0
6.708 0.000 0.000
0.000 19.144 0.000
-0.877 0.000 8.615
Rb Sm H S O
4 4 32 8 48
direct
0.149 0.218 0.119 Rb
0.149 0.282 0.619 Rb
0.851 0.718 0.381 Rb
0.851 0.782 0.881 Rb
0.346 0.622 0.717 Sm
0.346 0.878 0.217 Sm
0.654 0.122 0.783 Sm
0.654 0.378 0.283 Sm
0.020 0.070 0.337 H
0.020 0.430 0.837 H
0.199 0.103 0.447 H
0.199 0.397 0.947 H
0.203 0.568 0.390 H
0.203 0.932 0.890 H
0.253 0.523 0.012 H
0.253 0.977 0.512 H
0.267 0.036 0.239 H
0.267 0.464 0.739 H
0.310 0.637 0.354 H
0.310 0.863 0.854 H
0.328 0.027 0.068 H
0.328 0.473 0.568 H
0.366 0.592 0.058 H
0.366 0.908 0.558 H
0.634 0.092 0.442 H
0.634 0.408 0.942 H
0.672 0.527 0.432 H
0.672 0.973 0.932 H
0.690 0.137 0.146 H
0.690 0.363 0.646 H
0.733 0.536 0.261 H
0.733 0.964 0.761 H
0.747 0.023 0.488 H
0.747 0.477 0.988 H
0.797 0.068 0.110 H
0.797 0.432 0.610 H
0.801 0.603 0.053 H
0.801 0.897 0.553 H
0.980 0.570 0.163 H
0.980 0.930 0.663 H
0.198 0.076 0.772 S
0.198 0.424 0.272 S
0.373 0.724 0.094 S
0.373 0.776 0.594 S
0.627 0.224 0.406 S
0.627 0.276 0.906 S
0.802 0.576 0.728 S
0.802 0.924 0.228 S
0.016 0.117 0.790 O
0.016 0.383 0.290 O
0.147 0.096 0.337 O
0.147 0.404 0.837 O
0.149 0.002 0.738 O
0.149 0.498 0.238 O
0.186 0.740 0.629 O
0.186 0.760 0.129 O
0.240 0.614 0.436 O
0.240 0.886 0.936 O
0.306 0.107 0.644 O
0.306 0.393 0.144 O
0.310 0.564 0.967 O
0.310 0.936 0.467 O
0.311 0.001 0.165 O
0.311 0.499 0.665 O
0.343 0.081 0.915 O
0.343 0.419 0.415 O
0.361 0.705 0.928 O
0.361 0.795 0.428 O
0.413 0.660 0.190 O
0.413 0.840 0.690 O
0.460 0.225 0.871 O
0.460 0.275 0.371 O
0.540 0.725 0.629 O
0.540 0.775 0.129 O
0.587 0.160 0.310 O
0.587 0.340 0.810 O
0.639 0.205 0.572 O
0.639 0.295 0.072 O
0.657 0.581 0.585 O
0.657 0.919 0.085 O
0.689 0.501 0.335 O
0.689 0.999 0.835 O
0.690 0.064 0.533 O
0.690 0.436 0.033 O
0.694 0.607 0.856 O
0.694 0.893 0.356 O
0.760 0.114 0.064 O
0.760 0.386 0.564 O
0.814 0.240 0.871 O
0.814 0.260 0.371 O
0.851 0.502 0.762 O
0.851 0.998 0.262 O
0.853 0.596 0.163 O
0.853 0.904 0.663 O
0.984 0.617 0.710 O
0.984 0.883 0.210 O